# 1
VASP calculation (PBE) on Rb2Sn4S9 after structural relaxation. Values from VASP.

Quantum ESPRESSO input file:
```
&SYSTEM
  ibrav = 0, nat = 120, ntyp = 3
/
ATOMIC_SPECIES
Rb 85.47 Rb.upf
S 32.06 S.upf
Sn 118.71 Sn.upf
CELL_PARAMETERS angstrom
0.0000 -12.0175 0.0000
-12.0406 0.0000 0.0000
0.0000 0.0000 -27.1133
ATOMIC_POSITIONS angstrom
Rb -0.9237 -3.7027 -5.9476
S -11.3267 -0.6927 -5.0799
S -7.9261 -5.8676 -25.1604
S -6.5754 -0.4587 -12.1527
S -9.0595 -4.8995 -21.9196
S -6.5840 -5.2443 -18.6523
Sn -2.4508 -10.1162 -16.4960
S -8.0881 -6.1586 -4.6194
Sn -3.5557 -6.4722 -23.3395
Rb -5.0966 -8.3148 -19.5042
Rb -0.5934 -2.6071 -19.9482
S -6.7660 -6.9740 -12.1554
S -2.2646 -7.4877 -2.1489
S -2.7047 -5.7936 -18.8853
Sn -1.2813 -11.5908 -4.2082
Sn -2.2019 -6.4917 -16.5527
Sn -8.2667 -4.0355 -17.2994
S -8.2849 -10.5386 -24.9644
S -3.7568 -8.1833 -15.6838
S -3.7557 -4.5298 -15.7055
S -1.9058 -0.1412 -1.9529
S -10.1763 -10.7376 -18.3099
S -2.2635 -3.8342 -2.1272
Rb -5.3986 -3.6337 -26.0674
S -11.4769 -6.7731 -5.0957
S -5.4652 -6.4674 -1.4039
S -7.8846 -1.2798 -4.7532
S -0.5551 -5.5501 -14.9606
S -3.9693 -2.2596 -19.2268
Sn -10.8077 -10.1439 -16.0689
Sn -7.3016 -6.4354 -22.9051
Sn -2.4646 -5.5453 -9.7828
S -0.5637 -0.7644 -8.4610
S -5.4566 -11.2531 -22.0176
Sn -1.5708 -7.7250 -4.4203
S -2.2401 -2.3088 -25.9148
S -4.1560 -7.2886 -8.8034
Sn -9.8386 -0.4830 -24.1173
S -9.3359 -11.8023 -21.7846
S -2.4998 -8.3347 -22.1293
S -2.8177 -5.8631 -25.5951
Sn -9.7942 -7.9820 -3.7427
S -9.2229 -11.8719 -15.0748
S -5.3647 -3.6106 -3.8538
S -11.3720 -9.8508 -2.8626
Sn -1.5865 -0.2528 -24.7947
Sn -3.8183 -5.5257 -2.9960
S -3.3156 -6.2239 -5.3287
S -3.1376 -10.5819 -25.7058
Sn -8.4849 -0.4634 -17.3305
S -9.7760 -1.4789 -11.4078
Rb -6.6137 -3.4016 -7.1651
Rb -6.6420 -9.6424 -14.6026
S -8.2604 -3.6999 -1.1985
S -9.1578 -7.4443 -1.4075
S -5.3064 -5.3160 -22.0334
S -8.2838 -2.1745 -24.9861
S -8.7250 -0.2151 -8.2280
S -0.6556 -8.4068 -17.4104
Sn -4.7874 -7.8823 -11.0444
Sn -3.5695 -1.9013 -2.9394
Sn -8.2222 -11.5345 -10.5606
Rb -0.2583 -8.3318 -26.6636
S -8.5201 -9.6915 -4.9840
S -2.9811 -10.9083 -18.7503
S -9.8005 -8.3176 -14.7552
S -0.7457 -11.0522 -14.9580
S -5.3517 -8.1754 -24.2507
Sn -7.6068 -5.7559 -2.3186
S -1.8643 -4.7289 -22.3601
S -11.4855 -11.5588 -25.7094
S -5.2746 -0.9653 -1.4013
S -3.7802 -9.7086 -12.3581
S -3.9525 -0.1498 -8.9373
S -6.7342 -11.3248 -18.6366
S -8.0713 -8.2683 -21.4431
S -0.6686 -3.8420 -10.6941
S -3.2026 -6.1543 -12.0385
Rb -11.7823 -2.3231 -14.0064
Sn -9.5760 -11.5541 -3.7738
Rb -11.4189 -2.3750 -1.0460
S -6.6889 -2.1667 -16.4192
Sn -4.4495 -4.2925 -17.9770
Sn -4.4338 -11.7646 -11.2381
S -9.9728 -5.8589 -18.1761
Sn -4.7390 -0.4267 -17.7648
S -11.2949 -5.0435 -25.7120
Sn -1.2328 -4.1352 -24.6011
Sn -7.2531 -1.8736 -2.5122
Rb -0.6217 -8.3838 -12.5107
S -9.7771 -9.8429 -11.4295
S -8.8380 -0.1456 -1.5182
Rb -6.9440 -2.3061 -21.1657
S -2.8827 -1.4356 -12.1491
Sn -10.4698 -1.7163 -9.1363
S -2.0510 -9.7579 -5.6702
Sn -10.7593 -5.5821 -9.3485
S -3.5205 -3.6828 -8.5727
Rb -11.1169 -9.7114 -7.6091
Sn -8.4711 -7.9100 -10.6173
S -8.9030 -4.5732 -14.9642
S -11.3850 -2.3981 -23.2595
S -3.0392 -1.1092 -5.1937
Sn -2.2464 -1.9733 -9.8139
Sn -3.7739 -10.0442 -23.3706
S -2.0678 -11.8676 -22.4939
S -0.7139 -6.7014 -8.4767
Rb -5.4269 -9.4103 -6.3916
S -10.1348 -6.1499 -11.6038
Rb -11.4472 -8.6159 -20.7218
S -9.9896 -3.7491 -7.8865
S -9.5408 -2.3260 -18.5406
Sn -10.4541 -6.2616 -15.8752
Rb -6.2786 -9.6944 -0.4497
Rb -5.7620 -3.6857 -13.1070
S -9.0014 -7.1179 -8.3630
Sn -7.5911 -10.3012 -22.6930
S -6.6758 -9.6194 -9.7029
S -4.1145 -11.8763 -15.5095
Sn -9.5898 -4.1075 -24.1739
```

Summary:
E_form: -0.91 eV/atom



# 2
VASP calculation (PBE) on HoP3O9 after structural relaxation. Values from VASP.

Quantum ESPRESSO input file:
```
&SYSTEM
  ibrav = 0, nat = 156, ntyp = 3
/
ATOMIC_SPECIES
O 16.00 O.upf
Ho 164.93 Ho.upf
P 30.97 P.upf
CELL_PARAMETERS angstrom
-18.8775 -0.9922 7.2059
1.9776 -9.2016 3.9137
3.7231 3.4409 10.2272
ATOMIC_POSITIONS angstrom
O -5.5581 -5.3785 10.7430
O -8.1384 -2.9156 5.9350
O -0.7723 -1.1100 8.7679
O -5.6579 -5.9027 16.8191
O -13.4909 -4.1003 14.9085
O 1.5952 -2.3876 4.2451
Ho -4.1611 1.1527 7.5751
O -5.8028 -2.9574 8.5876
O -10.4286 -5.9094 17.8438
O -10.7000 -2.8018 13.6827
P -3.5860 -2.1778 12.3772
P -5.1491 -2.1494 7.5055
O 0.3140 -2.6526 6.4382
P -12.1594 -7.0531 12.1419
O -16.7679 -0.7473 7.9661
O -2.4769 -3.9511 7.6641
Ho -8.4500 -5.0969 5.5598
O -12.1609 -3.1517 10.7210
P 2.6358 -6.5035 12.3365
O -12.4924 -2.5040 8.2777
O -1.4473 -2.8030 2.6406
Ho -6.5884 -3.3765 10.6734
O -8.6688 -3.6401 14.9706
Ho -0.4347 -3.3042 8.4870
P -13.7306 -0.2505 13.6838
O -6.2204 -1.3800 6.5950
P 0.6963 -1.6645 5.3777
P -1.0174 0.3002 9.2048
O 0.2432 1.1840 8.7744
P -1.6042 -4.3834 11.7631
P -7.4926 -8.5020 10.5458
O -13.5133 -0.9826 6.5335
O -15.6563 -4.5834 10.0043
O -9.0166 0.7876 10.8664
P -7.8639 -0.5066 14.3918
O -10.8956 -7.7380 12.5723
O 1.5264 -3.6240 13.9972
O 1.7180 -3.0789 9.0591
O -0.6845 -4.2489 13.0691
O 1.7963 -7.0462 4.4770
O -14.5040 -6.3891 15.5663
O -16.3996 -5.6534 12.1935
O -16.2277 -0.2409 10.4499
Ho -9.0157 -7.9056 13.7716
O -0.8436 0.3955 10.7955
O -14.9731 0.2933 16.8698
O -10.6602 -2.7211 16.2456
O -5.3650 -7.6617 6.4704
O 3.2227 -1.0995 9.1532
O -0.6062 -1.3039 4.5271
O -5.0385 -3.8373 15.4118
P -13.8731 -5.0884 15.9691
O -12.4045 -5.6429 12.5789
O -14.7032 -3.1290 7.3496
O -13.4201 -7.9369 12.5723
O 0.3364 -5.7703 14.8133
O -15.0086 0.4560 13.3392
O -6.5922 -7.4707 9.7047
O -6.6457 -1.3429 14.6455
O 3.0509 -6.5120 10.8968
O -14.7720 -4.3653 17.1017
Ho -6.6775 -6.2413 18.7756
P -5.6843 1.7491 10.8010
P -3.2632 -4.1343 6.3943
O -12.5928 0.8065 14.1342
O -9.0170 -5.6639 13.4653
O -1.9231 0.8475 12.9796
O -6.9565 -5.3729 14.7517
O -12.3333 -7.1484 10.5512
O -4.1599 -1.0890 7.8815
O 3.5910 -6.0056 13.3807
O -4.5275 2.1149 11.6828
O -10.2709 -3.1186 9.0360
O 1.8317 -7.2089 8.0076
O -13.1501 -1.2283 12.7087
O -2.7483 -0.8435 3.5030
P -5.2391 -6.6293 9.9776
Ho 0.0000 0.0000 0.0000
O -1.0160 -3.6012 10.6258
P -11.8836 -5.3706 18.2604
O -7.7793 -7.9528 11.9058
P -11.8020 -6.4782 9.2001
O -2.5805 -1.2002 11.5777
O -4.5080 -3.1128 6.3762
P -14.4323 -1.0593 16.5389
P -7.6412 -1.5085 5.8696
O -8.3269 -4.4784 9.7684
O -4.8500 -2.2745 11.5784
O -2.2812 0.9850 8.7745
Ho -12.7421 -3.4487 12.8598
P -15.9612 -4.2943 11.4441
O -4.0065 -5.5624 6.3175
O -7.3740 -3.7955 12.7592
O -12.8750 -5.6019 8.6242
O -8.6493 -8.8678 9.6639
O -10.5963 -5.5527 9.7691
Ho -11.3018 -1.8316 18.2065
O -14.8949 -3.6740 12.2877
P -11.5726 -2.3695 9.5837
O -9.5311 -5.0197 7.5380
O -8.3050 -0.5720 12.8572
O -4.1602 -7.5405 10.4804
P 1.2554 -5.6936 4.8079
O -0.5841 -7.5594 7.2126
O -7.6187 -1.3744 10.6038
O -0.6352 -0.4474 2.1164
O -10.3529 1.9478 13.7941
O -14.4462 -1.1023 8.9044
O -11.2538 -7.6004 8.3671
P 0.6689 -4.8200 13.7008
P -9.9136 -2.6186 14.9524
O -6.5846 0.7178 11.6421
Ho -6.4994 -0.5116 2.5712
O -8.5226 -0.5866 6.8525
O -4.8718 -6.1809 8.4896
O -0.3018 -1.1510 12.7226
P 0.5538 -6.5024 7.6629
O 1.2694 -5.6507 12.4424
O -2.8240 -8.7008 7.5527
O -11.2295 -0.9284 9.7961
P -13.8458 -1.9329 7.6460
P -5.5357 -5.2444 15.4772
O 0.2125 -5.0966 3.9107
Ho 1.8615 1.7205 5.1136
O -12.5416 -6.3055 19.2304
O -7.5190 -0.8502 4.5277
O -13.3894 -1.6563 17.4361
O -2.9060 -3.6343 12.3108
P -1.2933 -1.3823 3.0863
O -3.1347 0.6671 5.5810
O 0.6724 -5.6705 6.2982
O -2.5167 -4.0318 5.1011
P -8.0278 -4.6036 13.8412
P -7.9378 -0.1236 11.3692
O -5.3976 1.1999 9.4410
O 1.3271 -0.3638 5.7805
O -1.9474 -5.8245 11.5507
O -10.0421 -7.4200 15.7658
P -15.8127 -0.2494 9.0102
P -9.5909 -4.5751 8.9695
O -3.6457 -1.7332 13.8088
P -9.7978 -7.2653 17.2425
O -0.0268 -5.5246 8.6381
O -4.6543 -6.1663 14.4943
O -6.5312 -5.4101 6.7013
P -3.3790 0.5124 4.1043
O -13.8493 -1.0824 15.0485
P -1.3749 -0.2747 12.1467
O -9.1704 -1.1905 15.0292
P 2.7844 -2.4586 9.9026
O -12.5707 -5.4490 16.8197
Ho -1.8750 -4.9213 3.1403
O -11.7296 -3.9499 18.7061
O -7.8119 0.9088 14.8764
P -5.3129 -6.2464 6.9550
O 2.4794 -2.1695 11.3424
```

Summary:
E_form: -3.02 eV/atom



# 3
VASP calculation (PBE) on HfFeSb after structural relaxation. Values from VASP.

Quantum ESPRESSO input file:
```
&SYSTEM
  ibrav = 0, nat = 12, ntyp = 3
/
ATOMIC_SPECIES
Sb 121.76 Sb.upf
Fe 55.84 Fe.upf
Hf 178.49 Hf.upf
CELL_PARAMETERS angstrom
-4.0282 -1.1760 0.6174
1.9729 -6.4453 0.5950
0.8431 0.9293 7.2707
ATOMIC_POSITIONS angstrom
Sb 1.2642 -4.4315 7.0921
Fe -1.2804 -6.3395 1.4250
Hf -0.4612 -6.6465 6.1852
Fe 0.0682 -0.3525 7.0582
Sb -1.2520 -5.2208 3.7411
Sb 0.0398 -1.4712 4.7421
Fe 0.7381 -3.9241 4.6258
Hf 0.1604 -3.3509 1.9483
Sb -2.4765 -2.2605 1.3911
Hf -1.3726 -3.3411 6.5349
Hf -0.7510 -0.0455 2.2980
Fe -1.9503 -2.7679 3.8573
```

Summary:
E_form: -0.39 eV/atom



# 4
VASP calculation (PBE) on BaF3 after structural relaxation. Values from VASP.

Quantum ESPRESSO input file:
```
&SYSTEM
  ibrav = 0, nat = 8, ntyp = 2
/
ATOMIC_SPECIES
F 19.00 F.upf
Ba 137.33 Ba.upf
CELL_PARAMETERS angstrom
4.4428 0.0000 0.0000
0.0000 4.6749 0.0000
0.0000 1.0370 6.9162
ATOMIC_POSITIONS angstrom
F 1.1107 5.1078 6.1417
Ba 1.1107 3.9980 1.9976
Ba 3.3321 1.7138 4.9187
F 1.1107 3.1596 5.7733
F 3.3321 0.6040 0.7746
F 1.1107 1.6539 3.2948
F 3.3321 4.0580 3.6215
F 3.3321 2.5522 1.1429
```

Summary:
E_form: -3.19 eV/atom



# 5
VASP calculation (PBE) on Te4MoW3Se2S2 after structural relaxation. Values from VASP.

Quantum ESPRESSO input file:
```
&SYSTEM
  ibrav = 0, nat = 12, ntyp = 5
/
ATOMIC_SPECIES
S 32.06 S.upf
Te 127.60 Te.upf
Mo 95.94 Mo.upf
W 183.84 W.upf
Se 78.96 Se.upf
CELL_PARAMETERS angstrom
-2.5408 2.2291 0.3878
-0.6679 -3.1848 -0.9929
-3.9469 -11.2243 38.6598
ATOMIC_POSITIONS angstrom
S -1.5172 -2.0202 1.6718
Te -2.9565 -6.1131 15.7690
Mo -0.3716 -1.0566 3.6394
Te -2.7865 -7.9243 27.2934
W -2.4016 -4.5352 10.3340
Se -0.9482 -2.6966 9.2879
Te -3.3241 -7.1587 19.3703
W -1.8481 -5.2558 18.1024
Te -2.4191 -6.8793 23.6945
S -1.8102 -2.8533 4.5411
Se -1.2706 -3.6133 12.4451
W -3.8951 -8.7823 24.9625
```

Summary:
energy above the most stable polymorph in this dataset: 0.0355 eV per atom
E_form: -0.42 eV/atom



# 6
VASP calculation (PBE) on Nb3VSe6 after structural relaxation. Values from VASP.

Quantum ESPRESSO input file:
```
&SYSTEM
  ibrav = 0, nat = 20, ntyp = 3
/
ATOMIC_SPECIES
Nb 92.91 Nb.upf
Se 78.96 Se.upf
V 50.94 V.upf
CELL_PARAMETERS angstrom
-4.2226 1.1586 4.2071
-1.5210 -2.9116 -5.1069
2.5275 -11.1613 5.6106
ATOMIC_POSITIONS angstrom
Nb 0.1050 -12.7116 3.6060
Se 1.6816 -10.6570 3.1788
Se -1.0741 -1.0903 2.1310
Nb -2.0593 -5.7742 3.9054
Se 0.5727 -8.9975 0.1354
Nb -1.1567 -7.1401 0.8053
Se -0.7222 -12.2136 1.1653
Nb 1.2638 -5.5806 2.8053
V -1.4264 -8.5691 5.3103
Se -4.3863 -1.2784 3.2490
Nb 0.0000 0.0000 0.0000
Nb -3.3210 -0.2027 1.1047
V -1.7897 -4.3452 -0.5996
Se -2.7394 -9.1855 1.2534
Se -1.8963 -3.3392 4.8718
Se -4.3002 -4.8958 2.8582
Se -3.5064 -2.6390 0.1457
Se -0.9778 -4.6881 1.7746
Se -1.6408 -10.8647 4.2624
Se -0.3072 -7.6368 3.2387
```

Summary:
E_form: -1.18 eV/atom



# 7
VASP calculation (PBE) on NbO after structural relaxation. Values from VASP.

Quantum ESPRESSO input file:
```
&SYSTEM
  ibrav = 0, nat = 6, ntyp = 2
/
ATOMIC_SPECIES
Nb 92.91 Nb.upf
O 16.00 O.upf
CELL_PARAMETERS angstrom
4.2615 0.0000 0.0000
0.0000 4.2615 0.0000
0.0000 0.0000 4.2615
ATOMIC_POSITIONS angstrom
Nb 2.1307 2.1307 0.0000
Nb 0.0000 2.1307 2.1307
O 2.1307 0.0000 0.0000
O 0.0000 2.1307 0.0000
O 0.0000 0.0000 2.1307
Nb 2.1307 0.0000 2.1307
```

Summary:
E_form: -2.29 eV/atom



# 8
VASP calculation (PBE) on BaMn2P2 after structural relaxation. Values from VASP.

Quantum ESPRESSO input file:
```
&SYSTEM
  ibrav = 0, nat = 5, ntyp = 3
/
ATOMIC_SPECIES
P 30.97 P.upf
Mn 54.94 Mn.upf
Ba 137.33 Ba.upf
CELL_PARAMETERS angstrom
3.8184 0.0000 0.0000
0.0000 3.8184 0.0000
-1.9092 -1.9092 6.4408
ATOMIC_POSITIONS angstrom
P 1.9092 1.9092 1.9776
P 0.0000 0.0000 4.4632
Mn 0.0000 1.9092 3.2204
Mn 1.9092 0.0000 3.2204
Ba 0.0000 0.0000 0.0000
```

Summary:
E_form: -0.76 eV/atom



# 9
VASP calculation (PBE) on KSb after structural relaxation. Values from VASP.

Quantum ESPRESSO input file:
```
&SYSTEM
  ibrav = 0, nat = 16, ntyp = 2
/
ATOMIC_SPECIES
K 39.10 K.upf
Sb 121.76 Sb.upf
CELL_PARAMETERS angstrom
7.0845 0.0000 0.0000
0.0000 7.3061 0.0000
0.0000 5.7558 12.3183
ATOMIC_POSITIONS angstrom
K 2.3658 7.3369 11.8940
Sb 0.7175 6.4616 8.7855
Sb 6.3671 6.6003 3.5328
Sb 4.2597 9.4782 9.6919
K 5.9081 8.6029 6.5834
Sb 4.7154 4.5122 4.6372
K 1.1764 4.4590 5.7349
K 2.8219 7.6094 4.0677
K 0.7203 10.4873 10.2269
Sb 1.1731 5.6718 1.5220
Sb 5.9114 7.3901 10.7963
K 4.2626 5.4525 8.2505
Sb 2.3692 8.5497 7.6811
K 4.7187 5.7250 0.4242
K 6.3642 2.5746 2.0914
Sb 2.8248 3.5837 2.6264
```

Summary:
E_form: -0.53 eV/atom



# 10
VASP calculation (PBE) on Li3ErBr6 after structural relaxation. Values from VASP.

Quantum ESPRESSO input file:
```
&SYSTEM
  ibrav = 0, nat = 20, ntyp = 3
/
ATOMIC_SPECIES
Br 79.90 Br.upf
Li 6.94 Li.upf
Er 167.26 Er.upf
CELL_PARAMETERS angstrom
5.9527 3.4654 0.0000
-5.9527 3.4654 0.0000
0.0000 2.2447 13.0657
ATOMIC_POSITIONS angstrom
Br -0.9695 2.9016 11.4793
Br 2.9193 5.1573 4.9689
Br 0.9630 6.2805 11.5103
Br -0.9630 5.1581 4.9774
Br -2.9193 4.0183 8.0968
Br 0.9695 1.7792 4.9464
Li 0.9707 6.2792 6.5369
Li 1.1058 4.0266 3.2664
Er -2.9763 1.7327 0.0000
Br 2.9193 2.8959 1.5639
Br 0.9695 6.2740 1.5864
Br -0.9630 2.8951 1.5554
Br -0.9695 7.3964 8.1193
Li 0.9707 4.0187 13.0617
Br 0.9630 4.0174 8.0883
Li -0.9707 5.1569 0.0041
Br -2.9193 6.2796 11.5018
Er 2.9763 2.8551 6.5329
Li -1.1058 5.1490 9.7993
Li -0.9707 2.8963 6.5288
```

Summary:
energy above the most stable polymorph in this dataset: 0.0027 eV per atom
E_form: -2.00 eV/atom